one | VASP calculation (PBE) on a relaxed BiP2O7 crystal. Values from VASP.

Properties
- symmetry = P2_1/c

Geometry as Quantum ESPRESSO input:
```
&SYSTEM
  ibrav = 0, nat = 40, ntyp = 3
/
ATOMIC_SPECIES
Bi 208.98 Bi.upf
P 30.97 P.upf
O 16.00 O.upf
ATOMIC_POSITIONS angstrom
Bi -0.778 1.290 5.994
Bi -3.932 1.443 12.334
Bi 6.956 4.024 0.347
Bi 3.802 4.177 6.687
P -2.143 3.965 7.829
P 1.011 4.236 1.489
P 0.771 4.094 4.437
P -2.384 4.107 10.777
P 5.408 1.361 1.903
P 2.253 1.373 8.244
P 2.013 1.231 11.192
P 5.167 1.502 4.851
O -0.415 3.687 1.425
O -3.569 4.514 7.765
O 1.093 0.277 1.210
O -2.061 2.457 7.551
O -0.263 2.956 4.514
O -3.417 5.246 10.854
O 0.103 0.012 4.367
O -3.052 2.721 10.707
O 2.030 3.493 0.616
O -1.125 4.708 6.956
O 1.522 3.966 3.005
O -1.633 4.236 9.345
O 1.846 3.961 5.501
O -1.309 4.240 11.841
O 4.333 1.228 0.839
O 1.179 1.506 7.180
O 4.657 1.232 3.336
O 1.502 1.502 9.676
O 4.149 0.759 5.724
O 0.994 1.974 12.065
O 6.076 2.746 1.973
O 2.921 5.455 8.314
O 6.441 0.222 1.826
O 3.287 2.512 8.167
O 5.085 3.011 5.130
O 1.931 5.191 11.470
O 6.593 0.954 4.915
O 3.439 1.780 11.256
CELL_PARAMETERS angstrom
9.333 0.000 0.000
0.000 5.468 0.000
-6.309 0.000 12.681
```

---

two | VASP calculation (PBE) on a relaxed BiP2O7 crystal. Values from VASP.

Properties
- symmetry = P2_1/c

Geometry as Quantum ESPRESSO input:
```
&SYSTEM
  ibrav = 0, nat = 40, ntyp = 3
/
ATOMIC_SPECIES
Bi 208.98 Bi.upf
P 30.97 P.upf
O 16.00 O.upf
ATOMIC_POSITIONS angstrom
Bi -0.966 1.736 3.374
Bi -3.522 2.600 9.582
Bi 3.650 6.072 2.834
Bi 1.094 6.936 9.043
P 0.976 6.182 0.258
P -1.580 6.827 6.466
P -1.331 4.668 8.255
P 1.225 8.341 2.046
P -1.097 0.332 10.371
P 1.459 4.004 4.162
P 1.708 1.845 5.950
P -0.848 2.491 12.159
O -2.089 1.469 5.573
O -4.644 2.867 11.782
O -3.842 5.966 11.205
O -1.287 7.042 4.997
O -2.382 5.419 9.056
O 0.174 7.590 2.848
O -1.366 5.227 6.731
O 1.190 7.782 0.522
O -2.555 0.577 9.870
O 0.001 3.760 3.661
O 0.931 1.162 2.006
O -1.625 3.174 8.214
O 1.940 5.442 1.197
O -0.616 7.567 7.406
O 0.744 1.106 5.011
O -1.812 3.231 11.220
O 1.753 5.499 4.203
O -0.803 7.510 10.411
O 0.127 4.913 8.756
O 2.683 8.096 2.547
O -1.062 0.890 11.895
O 1.494 3.446 5.686
O -0.046 1.083 9.569
O 2.510 3.254 3.361
O 1.415 1.630 7.420
O 3.970 2.706 1.212
O 4.772 5.805 0.635
O 2.217 7.203 6.844
CELL_PARAMETERS angstrom
5.240 0.000 0.000
0.000 8.672 0.000
-5.112 0.000 12.417
```

---

three | VASP calculation (PBE) on a relaxed BiP2O7 crystal. Values from VASP.

Properties
- symmetry = P-1

Geometry as Quantum ESPRESSO input:
```
&SYSTEM
  ibrav = 0, nat = 20, ntyp = 3
/
ATOMIC_SPECIES
Bi 208.98 Bi.upf
P 30.97 P.upf
O 16.00 O.upf
ATOMIC_POSITIONS angstrom
Bi 1.303 1.522 1.831
Bi 6.468 8.447 4.943
P 1.240 5.078 1.047
P 2.992 7.743 5.182
P 4.778 2.225 1.592
P 6.530 4.891 5.728
O 0.845 4.503 6.463
O 1.080 3.825 1.896
O 1.814 8.332 4.339
O 1.793 6.235 1.878
O 2.478 7.690 6.690
O 3.422 6.366 4.728
O 4.188 8.720 5.164
O 3.582 1.248 1.610
O 4.349 3.602 2.047
O 5.292 2.278 0.085
O 5.978 3.734 4.897
O 5.957 1.636 2.436
O 6.691 6.143 4.879
O 6.926 5.466 0.312
CELL_PARAMETERS angstrom
6.988 0.000 0.000
0.637 6.976 0.000
0.146 2.993 6.775
```

---

Most stable to least stable, the ends of the list are one and three.

---

one | VASP calculation (PBE) on a relaxed Bi3P2O10 crystal. Values from VASP.

Properties
- symmetry = P-1

Geometry as Quantum ESPRESSO input:
```
&SYSTEM
  ibrav = 0, nat = 30, ntyp = 3
/
ATOMIC_SPECIES
Bi 208.98 Bi.upf
P 30.97 P.upf
O 16.00 O.upf
ATOMIC_POSITIONS angstrom
Bi 0.211 0.897 3.306
Bi -1.067 -2.746 8.021
Bi 1.247 4.496 1.637
Bi 2.883 -0.904 6.575
Bi 5.197 6.338 0.190
Bi 3.919 2.694 4.905
P -0.639 0.559 6.557
P 0.458 4.084 4.906
P 3.672 -0.492 3.305
P 4.769 3.033 1.654
O -1.339 1.159 5.295
O 0.212 6.507 1.136
O -1.523 -0.616 7.086
O -0.983 3.930 5.435
O 0.915 2.035 1.505
O 0.528 5.129 3.742
O -0.525 1.597 7.718
O 1.110 2.778 4.372
O 0.743 0.097 6.070
O 1.444 -2.618 6.146
O 2.685 6.210 2.065
O 3.387 3.494 2.142
O 3.020 0.814 3.839
O 4.654 1.994 0.494
O 3.601 -1.537 4.470
O 3.215 1.557 6.706
O 5.113 -0.339 2.777
O 5.653 4.208 1.125
O 3.918 -2.915 7.075
O 5.469 2.432 2.916
CELL_PARAMETERS angstrom
6.963 0.000 0.000
-0.139 7.129 0.000
-2.694 -3.537 8.211
```

---

two | VASP calculation (PBE) on a relaxed Bi3P2O10 crystal. Values from VASP.

Properties
- symmetry = P1

Geometry as Quantum ESPRESSO input:
```
&SYSTEM
  ibrav = 0, nat = 15, ntyp = 3
/
ATOMIC_SPECIES
Bi 208.98 Bi.upf
P 30.97 P.upf
O 16.00 O.upf
ATOMIC_POSITIONS angstrom
Bi 0.000 0.000 0.000
Bi -0.686 2.304 4.231
Bi 2.003 4.941 1.575
P -0.128 -1.063 3.637
P 2.218 1.790 2.123
O -0.632 -0.681 2.194
O -1.886 4.518 4.106
O -1.899 2.472 6.143
O -0.288 0.127 4.609
O 0.777 2.381 2.286
O 0.512 5.128 3.619
O 2.109 0.496 1.254
O 0.770 2.883 5.839
O 3.070 2.861 1.398
O 2.854 1.445 3.492
CELL_PARAMETERS angstrom
5.566 0.000 0.000
-0.786 6.748 0.000
-2.329 -2.478 6.193
```

---

Most stable to least stable, the ends of the list are one and two.

---

one | VASP calculation (PBE) on a relaxed Bi2PdO4 crystal. Values from VASP.

Properties
- symmetry = P4/ncc

Geometry as Quantum ESPRESSO input:
```
&SYSTEM
  ibrav = 0, nat = 28, ntyp = 3
/
ATOMIC_SPECIES
Bi 208.98 Bi.upf
Pd 106.42 Pd.upf
O 16.00 O.upf
ATOMIC_POSITIONS angstrom
Bi 0.659 4.966 1.542
Bi 0.659 7.953 4.627
Bi 3.647 4.966 4.627
Bi 3.647 7.953 1.542
Bi 4.966 0.659 4.627
Bi 4.966 3.647 1.542
Bi 7.953 0.659 1.542
Bi 7.953 3.647 4.627
Pd 2.153 2.153 0.494
Pd 2.153 2.153 3.579
Pd 6.459 6.459 2.591
Pd 6.459 6.459 5.676
O 0.297 1.278 3.625
O 0.297 3.028 0.540
O 1.278 0.297 0.540
O 1.278 4.009 3.625
O 3.028 0.297 3.625
O 3.028 4.009 0.540
O 4.009 1.278 0.540
O 4.009 3.028 3.625
O 4.604 5.585 2.545
O 4.604 7.334 5.630
O 5.585 4.604 5.630
O 5.585 8.315 2.545
O 7.334 4.604 2.545
O 7.334 8.315 5.630
O 8.315 5.585 5.630
O 8.315 7.334 2.545
CELL_PARAMETERS angstrom
8.612 0.000 0.000
0.000 8.612 0.000
0.000 0.000 6.170
```

---

two | VASP calculation (PBE) on a relaxed Bi2PdO4 crystal. Values from VASP.

Properties
- symmetry = I4cm

Geometry as Quantum ESPRESSO input:
```
&SYSTEM
  ibrav = 0, nat = 14, ntyp = 3
/
ATOMIC_SPECIES
Bi 208.98 Bi.upf
Pd 106.42 Pd.upf
O 16.00 O.upf
ATOMIC_POSITIONS angstrom
Bi 6.154 1.586 0.000
Bi 1.586 2.981 0.000
Bi 2.981 1.586 2.849
Bi -1.586 2.981 2.849
Pd 0.000 0.000 1.731
Pd 0.000 0.000 4.580
O 3.575 -2.786 1.800
O 3.575 2.786 -1.049
O 1.782 -0.993 1.800
O 2.786 5.561 -1.049
O 0.993 1.782 1.800
O 5.561 2.786 1.800
O 2.786 3.575 1.800
O -2.786 5.561 1.800
CELL_PARAMETERS angstrom
-4.568 4.568 2.849
4.568 -4.568 2.849
4.568 4.568 -2.849
```

---

Most stable to least stable, the ends of the list are one and two.

---

one | VASP calculation (PBE) on a relaxed BiPd2O4 crystal. Values from VASP.

Properties
- symmetry = P-1

Geometry as Quantum ESPRESSO input:
```
&SYSTEM
  ibrav = 0, nat = 14, ntyp = 3
/
ATOMIC_SPECIES
Bi 208.98 Bi.upf
Pd 106.42 Pd.upf
O 16.00 O.upf
ATOMIC_POSITIONS angstrom
Bi -0.008 0.365 1.975
Bi 2.858 2.159 3.658
Pd -1.142 2.869 0.000
Pd 2.895 0.000 0.000
Pd 2.567 -1.607 2.817
Pd 1.752 2.869 0.000
O -1.246 4.867 0.062
O -0.757 2.532 1.996
O 1.316 -1.884 4.347
O 0.860 1.173 4.244
O 1.990 1.351 1.390
O 1.533 4.408 1.286
O 3.607 -0.009 3.637
O 4.095 -2.343 5.571
CELL_PARAMETERS angstrom
5.789 0.000 0.000
-2.285 5.738 0.000
-0.655 -3.214 5.633
```

---

two | VASP calculation (PBE) on a relaxed BiPd2O4 crystal. Values from VASP.

Properties
- symmetry = P4/nmm

Geometry as Quantum ESPRESSO input:
```
&SYSTEM
  ibrav = 0, nat = 14, ntyp = 3
/
ATOMIC_SPECIES
Bi 208.98 Bi.upf
Pd 106.42 Pd.upf
O 16.00 O.upf
ATOMIC_POSITIONS angstrom
Bi 1.723 1.723 0.047
Bi 5.169 5.169 4.515
Pd 0.000 0.000 2.281
Pd 0.000 3.446 2.281
Pd 3.446 0.000 2.281
Pd 3.446 3.446 2.281
O 0.177 5.169 3.308
O 1.723 3.623 1.254
O 1.723 6.715 1.254
O 3.269 5.169 3.308
O 3.623 1.723 1.254
O 5.169 0.177 3.308
O 5.169 3.269 3.308
O 6.715 1.723 1.254
CELL_PARAMETERS angstrom
6.892 0.000 0.000
0.000 6.892 0.000
0.000 0.000 4.562
```

---

Most stable to least stable, the ends of the list are one and two.

---

one | VASP calculation (PBE) on a relaxed Bi2S3O12 crystal. Values from VASP.

Properties
- symmetry = P2_1/c

Geometry as Quantum ESPRESSO input:
```
&SYSTEM
  ibrav = 0, nat = 68, ntyp = 3
/
ATOMIC_SPECIES
Bi 208.98 Bi.upf
S 32.06 S.upf
O 16.00 O.upf
ATOMIC_POSITIONS angstrom
Bi -2.338 0.338 4.953
Bi -7.002 4.335 11.426
Bi 2.346 0.359 1.486
Bi -2.318 4.313 7.959
Bi 2.350 5.032 4.987
Bi -2.314 8.986 11.460
Bi 7.035 5.010 1.520
Bi 2.370 9.008 7.993
S -4.305 6.968 6.555
S 0.359 7.050 0.082
S -5.590 1.094 10.948
S -0.926 3.578 4.475
S -3.707 5.670 10.955
S 0.958 8.348 4.482
S -0.926 0.997 8.464
S 3.739 3.675 1.991
S 0.958 5.767 8.471
S 5.622 8.251 1.998
S -0.327 2.295 12.864
S 4.338 2.377 6.391
O -8.564 5.935 12.135
O -3.900 8.084 5.662
O -0.568 6.558 1.138
O -5.232 7.460 7.611
O 0.304 1.247 0.741
O -4.361 3.426 7.214
O -6.387 0.069 10.208
O -1.722 4.604 3.735
O -1.292 2.212 4.003
O -5.956 2.461 10.476
O -3.091 6.399 7.209
O 1.574 7.620 0.736
O -5.191 5.802 11.013
O -0.526 8.217 4.540
O -5.863 0.954 12.400
O -1.198 3.719 5.927
O -4.140 0.897 10.675
O 0.525 3.776 4.202
O -1.462 0.637 7.130
O 3.203 4.035 0.657
O 1.313 0.101 3.527
O -3.352 4.572 10.000
O -3.129 6.955 10.478
O 1.536 7.064 4.005
O -1.503 2.282 8.941
O 3.161 2.391 2.468
O 3.384 4.774 2.946
O -1.280 9.245 9.419
O -3.171 5.310 12.289
O 1.494 8.708 5.816
O -0.492 5.569 8.744
O 4.172 8.449 2.271
O 1.230 5.627 7.019
O 5.895 8.392 0.546
O 0.559 1.129 8.406
O 5.223 3.544 1.933
O -1.541 1.726 12.210
O 3.123 2.947 5.737
O 5.988 6.885 2.470
O 1.324 7.134 8.943
O 1.754 4.741 9.211
O 6.419 9.277 2.738
O 4.393 5.920 5.732
O -0.271 8.098 12.205
O 5.264 1.886 5.335
O 0.600 2.787 11.808
O 3.932 1.262 7.284
O 8.596 3.411 0.811
CELL_PARAMETERS angstrom
9.361 0.000 0.000
0.000 9.345 0.000
-9.329 0.000 12.946
```

---

two | VASP calculation (PBE) on a relaxed Bi2S3O12 crystal. Values from VASP.

Properties
- symmetry = C2/c

Geometry as Quantum ESPRESSO input:
```
&SYSTEM
  ibrav = 0, nat = 34, ntyp = 3
/
ATOMIC_SPECIES
Bi 208.98 Bi.upf
S 32.06 S.upf
O 16.00 O.upf
ATOMIC_POSITIONS angstrom
Bi 1.473 2.356 8.212
Bi 6.701 2.356 4.367
Bi 3.525 -2.356 4.019
Bi 8.753 -2.356 0.174
S -0.622 0.970 5.667
S 1.430 -0.970 1.474
S 4.087 0.549 6.289
S 6.139 -0.549 2.096
S 8.796 0.970 6.912
S 10.849 -0.970 2.719
O 0.321 1.634 4.817
O -0.564 1.541 7.114
O 5.123 3.505 3.123
O 1.695 0.499 1.633
O 7.156 3.505 1.070
O -0.357 -0.499 5.826
O 3.042 1.434 6.874
O 2.373 -1.634 0.624
O 1.489 -1.541 2.921
O 5.512 0.290 1.050
O 5.131 1.434 5.704
O 3.460 -0.290 5.243
O 6.766 0.290 3.143
O 5.095 -1.434 2.681
O 4.714 -0.290 7.336
O 8.738 1.541 5.465
O 7.853 1.634 7.762
O 7.184 -1.434 1.512
O 10.583 0.499 2.560
O 3.070 -3.505 7.315
O 8.531 -0.499 6.753
O 5.104 -3.505 5.263
O 10.790 -1.541 1.272
O 9.905 -1.634 3.569
CELL_PARAMETERS angstrom
7.166 -4.638 0.000
7.166 4.638 0.000
-4.105 0.000 8.386
```

---

Most stable to least stable, the ends of the list are one and two.